[1]
Computed, not measured: a geometry-optimized TaRu structure at the GGA-PBE level of DFT.

a b c (Å): 2.8669 2.8669 4.1624
angles (deg): 90.00 90.00 109.53
Last column: nearest neighbours and their distance in Å.
Fractional coordinates of all 2 atoms:
Ru  0.0000  0.0000  0.0000  4 Ta 2.66, 4 Ru 2.87
Ta  0.5000  0.5000  0.5000  4 Ru 2.66, 4 Ta 2.87

## Properties
Its space-group type is Cmmm, No. 65. Its energy relative to the elements is -0.280 eV per formula unit.



[2]
Computed, not measured: a geometry-optimized Li7Sn3 structure at the GGA-PBE level of DFT.

a b c (Å): 4.7432 8.5318 9.4616
angles (deg): 73.90 90.00 90.00
Last column: nearest neighbours and their distance in Å.
Fractional coordinates of all 20 atoms:
Li  0.7500  0.3963  0.2751  4 Sn 2.81-2.88, 4 Li 2.81-2.87
Li  0.2500  0.3983  0.0144  5 Li 2.81-2.91, 3 Sn 2.91-2.94
Li  0.7500  0.6017  0.9856  5 Li 2.81-2.91, 3 Sn 2.91-2.94
Li  0.2500  0.4002  0.5337  5 Li 2.83-3.00, 3 Sn 2.90-2.94
Li  0.7500  0.9944  0.3792  4 Sn 2.81-2.84, 4 Li 2.84-2.91
Li  0.2500  0.1996  0.3183  8 Li 2.85-3.00
Li  0.7500  0.8004  0.6817  8 Li 2.85-3.00
Li  0.2500  0.6037  0.7249  4 Sn 2.81-2.88, 4 Li 2.81-2.87
Li  0.7500  0.0070  0.8727  4 Li 2.80-2.85, 4 Sn 2.89-2.90
Li  0.2500  0.1878  0.8302  6 Li 2.80-2.89, 3 Sn 2.96-3.13
Li  0.2500  0.0056  0.6208  4 Sn 2.81-2.84, 4 Li 2.84-2.91
Li  0.7500  0.8122  0.1698  6 Li 2.80-2.89, 3 Sn 2.96-3.13
Li  0.2500  0.9930  0.1273  4 Li 2.80-2.85, 4 Sn 2.89-2.90
Li  0.7500  0.5998  0.4662  5 Li 2.83-3.00, 3 Sn 2.90-2.94
Sn  0.7500  0.1940  0.0856  8 Li 2.81-3.13, 1 Sn 2.98
Sn  0.2500  0.8029  0.4323  7 Li 2.81-2.90, 1 Sn 2.99
Sn  0.2500  0.8060  0.9144  8 Li 2.81-3.13, 1 Sn 2.98
Sn  0.7500  0.4042  0.7760  6 Li 2.88-2.96, 2 Sn 2.98-2.99
Sn  0.7500  0.1971  0.5677  7 Li 2.81-2.90, 1 Sn 2.99
Sn  0.2500  0.5958  0.2240  6 Li 2.88-2.96, 2 Sn 2.98-2.99

## Properties
Its space-group type is P2_1/m, No. 11. Its energy relative to the elements is -3.937 eV per formula unit.



[3]
Computed, not measured: a geometry-optimized LaCo9Si4 structure at the GGA-PBE level of DFT.

a b c (Å): 7.9638 7.9638 7.9638
angles (deg): 121.57 121.57 87.30
Last column: nearest neighbours and their distance in Å.
Fractional coordinates of all 28 atoms:
Co  0.4489  0.9489  0.7578  4 Si 2.32-2.43, 5 Co 2.51-2.57
Co  0.8088  0.3088  0.7578  4 Si 2.32-2.43, 5 Co 2.51-2.57
Co  0.3002  0.4308  0.7310  6 Co 2.32-2.54, 4 Si 2.48-2.53
Co  0.1998  0.9308  0.1306  6 Co 2.32-2.54, 4 Si 2.48-2.53
Co  0.5692  0.3002  0.8694  6 Co 2.32-2.54, 4 Si 2.48-2.53
Co  0.0000  0.5000  0.5000  4 Si 2.32, 8 Co 2.39-2.51
Co  0.4308  0.6998  0.1306  6 Co 2.32-2.54, 4 Si 2.48-2.53
Co  0.9489  0.1912  0.5000  4 Si 2.32-2.43, 5 Co 2.51-2.57
Co  0.6912  0.4489  0.5000  4 Si 2.32-2.43, 5 Co 2.51-2.57
Co  0.3088  0.5511  0.5000  4 Si 2.32-2.43, 5 Co 2.51-2.57
Co  0.6998  0.5692  0.2690  6 Co 2.32-2.54, 4 Si 2.48-2.53
Co  0.5000  0.0000  0.5000  4 Si 2.32, 8 Co 2.39-2.51
Co  0.8002  0.0692  0.8694  6 Co 2.32-2.54, 4 Si 2.48-2.53
Co  0.5511  0.0511  0.2422  4 Si 2.32-2.43, 5 Co 2.51-2.57
Co  0.0511  0.8088  0.5000  4 Si 2.32-2.43, 5 Co 2.51-2.57
Co  0.0692  0.1998  0.2690  6 Co 2.32-2.54, 4 Si 2.48-2.53
Co  0.9308  0.8002  0.7310  6 Co 2.32-2.54, 4 Si 2.48-2.53
Co  0.1912  0.6912  0.2422  4 Si 2.32-2.43, 5 Co 2.51-2.57
La  0.7500  0.7500  0.0000  16 Co 3.16-3.32, 8 Si 3.25
La  0.2500  0.2500  0.0000  16 Co 3.16-3.32, 8 Si 3.25
Si  0.5479  0.7101  0.5000  9 Co 2.32-2.53
Si  0.2899  0.7899  0.8378  9 Co 2.32-2.53
Si  0.0479  0.5479  0.8378  9 Co 2.32-2.53
Si  0.9521  0.4521  0.1622  9 Co 2.32-2.53
Si  0.2101  0.0479  0.5000  9 Co 2.32-2.53
Si  0.7101  0.2101  0.1622  9 Co 2.32-2.53
Si  0.4521  0.2899  0.5000  9 Co 2.32-2.53
Si  0.7899  0.9521  0.5000  9 Co 2.32-2.53

## Properties
Its space-group type is I4/mcm, No. 140. Its energy relative to the elements is -6.441 eV per formula unit.



[4]
Computed, not measured: a geometry-optimized BaMo6S8 structure at the GGA-PBE level of DFT.

a b c (Å): 6.7131 6.7131 6.7131
angles (deg): 88.70 88.70 88.70
Last column: nearest neighbours and their distance in Å.
Fractional coordinates of all 15 atoms:
Mo  0.7648  0.5831  0.4348  5 S 2.40-2.65
Mo  0.5831  0.4348  0.7648  5 S 2.40-2.65
Mo  0.2352  0.4169  0.5652  5 S 2.40-2.65
Mo  0.5652  0.2352  0.4169  5 S 2.40-2.65
Mo  0.4348  0.7648  0.5831  5 S 2.40-2.65
Mo  0.4169  0.5652  0.2352  5 S 2.40-2.65
Ba  0.0000  0.0000  0.0000  8 S 3.00-3.26
S  0.2522  0.2522  0.2522  3 Mo 2.40
S  0.7339  0.3912  0.1249  4 Mo 2.47-2.65
S  0.3912  0.1249  0.7339  4 Mo 2.47-2.65
S  0.8751  0.2661  0.6088  4 Mo 2.47-2.65
S  0.6088  0.8751  0.2661  4 Mo 2.47-2.65
S  0.1249  0.7339  0.3912  4 Mo 2.47-2.65
S  0.2661  0.6088  0.8751  4 Mo 2.47-2.65
S  0.7478  0.7478  0.7478  3 Mo 2.40

## Properties
Its space-group type is R-3, No. 148. Its energy relative to the elements is -17.431 eV per formula unit. The value obtained for the energy relative to the lowest polymorph listed for this composition is 2 meV/atom.



[5]
Computed, not measured: a geometry-optimized Na2MgH32S2O24 structure at the GGA-PBE level of DFT.

a b c (Å): 6.6587 6.7153 14.6259
angles (deg): 87.19 100.16 114.26
Last column: nearest neighbours and their distance in Å.
Fractional coordinates of all 61 atoms:
H  0.1481  0.9351  0.3362  1 O 0.98
H  0.3069  0.6260  0.9592  1 O 0.99
H  0.3446  0.8953  0.5812  1 O 0.99
H  0.5731  0.5616  0.1420  1 O 0.98
H  0.4530  0.5828  0.6512  1 O 0.99
H  0.8194  0.5794  0.1675  1 O 0.99
H  0.3987  0.0082  0.7719  1 O 0.99
H  0.6931  0.3740  0.0408  1 O 0.99
H  0.2024  0.2377  0.1311  1 O 0.99
H  0.4363  0.1550  0.5858  1 O 0.98
H  0.5637  0.8450  0.4142  1 O 0.98
H  0.2189  0.5714  0.6679  1 O 0.99
H  0.2908  0.6627  0.0620  1 O 0.99
H  0.8519  0.0649  0.6638  1 O 0.98
H  0.1972  0.4400  0.5330  1 O 0.99
H  0.6013  0.9918  0.2281  1 O 0.99
H  0.5470  0.4172  0.3488  1 O 0.99
H  0.8028  0.5600  0.4670  1 O 0.99
H  0.7999  0.5997  0.5725  1 O 0.98
H  0.4269  0.4384  0.8580  1 O 0.98
H  0.0749  0.0288  0.6911  1 O 0.99
H  0.7976  0.7623  0.8689  1 O 0.99
H  0.2001  0.4003  0.4275  1 O 0.98
H  0.7811  0.4286  0.3321  1 O 0.99
H  0.7092  0.3373  0.9380  1 O 0.99
H  0.9251  0.9712  0.3089  1 O 0.99
H  0.6554  0.1047  0.4188  1 O 0.99
H  0.8275  0.1998  0.2243  1 O 0.99
H  0.1806  0.4206  0.8325  1 O 0.99
H  0.7978  0.9942  0.8502  1 O 0.99
H  0.1725  0.8002  0.7757  1 O 0.99
H  0.2022  0.0058  0.1498  1 O 0.99
O  0.7536  0.0396  0.2137  2 H 0.99
O  0.3186  0.0222  0.5544  2 H 0.98-0.99
O  0.9895  0.4903  0.2507  1 S 1.50
O  0.9683  0.0452  0.6376  2 H 0.98-0.99
O  0.1298  0.3299  0.4811  2 H 0.98-0.99
O  0.0317  0.9548  0.3624  2 H 0.98-0.99
O  0.0105  0.5097  0.7493  1 S 1.50
O  0.3587  0.5636  0.3429  1 S 1.49
O  0.7078  0.5906  0.1152  2 H 0.98-0.99
O  0.6413  0.4364  0.6571  1 S 1.49
O  0.7004  0.1535  0.7545  1 S 1.50
O  0.3261  0.7408  0.0040  2 H 0.99
O  0.3313  0.6291  0.6267  2 H 0.99
O  0.6687  0.3709  0.3733  2 H 0.99
O  0.2996  0.8465  0.2455  1 S 1.50
O  0.2985  0.5239  0.1739  1 S 1.50
O  0.6739  0.2592  0.9960  2 H 0.99
O  0.1580  0.0940  0.1012  2 H 0.99
O  0.2922  0.4094  0.8848  2 H 0.98-0.99
O  0.2464  0.9604  0.7863  2 H 0.99
O  0.6814  0.9778  0.4456  2 H 0.98-0.99
O  0.7015  0.4761  0.8261  1 S 1.50
O  0.8702  0.6701  0.5189  2 H 0.98-0.99
O  0.8420  0.9060  0.8988  2 H 0.99
S  0.7631  0.3941  0.7466  4 O 1.49-1.50
S  0.2369  0.6059  0.2534  4 O 1.49-1.50
Mg  0.0000  0.0000  0.5000  6 O 2.04-2.11
Na  0.7493  0.9465  0.0493  6 O 2.42-2.55
Na  0.2507  0.0535  0.9507  6 O 2.42-2.55

## Properties
Its space-group type is P-1, No. 2. Its energy relative to the elements is -90.715 eV per formula unit.



[6]
Computed, not measured: a geometry-optimized CaGaN structure at the GGA-PBE level of DFT.

a b c (Å): 3.5923 3.5923 7.5609
angles (deg): 90.00 90.00 90.00
Last column: nearest neighbours and their distance in Å.
Fractional coordinates of all 6 atoms:
Ga  0.0000  0.5000  0.0835  1 N 1.86
Ga  0.5000  0.0000  0.9165  1 N 1.86
N  0.0000  0.5000  0.3294  1 Ga 1.86
N  0.5000  0.0000  0.6706  1 Ga 1.86
Ca  0.0000  0.5000  0.6479  5 N 2.41-2.55
Ca  0.5000  0.0000  0.3521  5 N 2.41-2.55

## Properties
Its space-group type is P4/nmm, No. 129. Its energy relative to the elements is -2.530 eV per formula unit.



Q: Which final energy values were calculated for the entries above? A: -21.41 -29.33 -97.34 -113.49 -314.06 -15.54, in eV per formula unit.